No. 1
{
  "formula": "SrCaVWO6",
  "functional": "GGA+U",
  "state": "optimized geometry",
  "density_g_cm3": 5.888,
  "dft_energy_ev_per_atom": -7.25,
  "corrected_energy_ev_per_atom": -8.280,
  "magmom_total_mub_per_atom": 0.300,
  "space_group": "F-43m, No. 216",
  "lattice": [[0.0000, 4.0136, 4.0136], [4.0136, 0.0000, 4.0136], [4.0136, 4.0136, 0.0000]],
  "species": ["Sr", "Ca", "V", "W", "O", "O", "O", "O", "O", "O"],
  "frac_coords": [[0.0000, 0.0000, 0.0000], [0.5000, 0.5000, 0.5000], [0.2500, 0.2500, 0.2500], [0.7500, 0.7500, 0.7500], [0.5075, 0.5075, 0.9925], [0.5075, 0.9925, 0.5075], [0.5075, 0.9925, 0.9925], [0.9925, 0.5075, 0.5075], [0.9925, 0.5075, 0.9925], [0.9925, 0.9925, 0.5075]]
}

No. 2
{
  "formula": "K2RbMoF6",
  "functional": "GGA+U",
  "state": "optimized geometry",
  "density_g_cm3": 2.983,
  "dft_energy_ev_per_atom": -4.85,
  "corrected_energy_ev_per_atom": -5.444,
  "magmom_total_mub_per_atom": 0.300,
  "space_group": "Fm-3m, No. 225",
  "lattice": [[0.0000, 4.7024, 4.7024], [4.7024, 0.0000, 4.7024], [4.7024, 4.7024, 0.0000]],
  "species": ["K", "K", "Rb", "Mo", "F", "F", "F", "F", "F", "F"],
  "frac_coords": [[0.2500, 0.2500, 0.2500], [0.7500, 0.7500, 0.7500], [0.0000, 0.0000, 0.0000], [0.5000, 0.5000, 0.5000], [0.2796, 0.2796, 0.7204], [0.2796, 0.7204, 0.2796], [0.2796, 0.7204, 0.7204], [0.7204, 0.2796, 0.2796], [0.7204, 0.2796, 0.7204], [0.7204, 0.7204, 0.2796]]
}

No. 3
{
  "formula": "Li3V2O4F4",
  "functional": "GGA+U",
  "state": "optimized geometry",
  "relative_energy_mev_per_atom": 10.2,
  "density_g_cm3": 2.923,
  "dft_energy_ev_per_atom": -6.06,
  "corrected_energy_ev_per_atom": -6.676,
  "magmom_total_mub_per_atom": 0.077,
  "space_group": "Pm, No. 6",
  "lattice": [[6.4640, 0.0000, 0.0000], [0.0000, 3.6205, 0.0000], [-2.7273, 0.0000, 6.3766]],
  "species": ["Li", "Li", "Li", "V", "V", "O", "O", "O", "O", "F", "F", "F", "F"],
  "frac_coords": [[0.0000, 0.0000, 0.0000], [0.0218, 0.5000, 0.7272], [0.7395, 0.5000, 0.2112], [0.2579, 0.5000, 0.3656], [0.5071, 0.0000, 0.7910], [0.0763, 0.5000, 0.1090], [0.2954, 0.0000, 0.4336], [0.4556, 0.5000, 0.7126], [0.6773, 0.0000, 0.0467], [0.0016, 0.5000, 0.4549], [0.2179, 0.0000, 0.8325], [0.5222, 0.5000, 0.3175], [0.7778, 0.0000, 0.7210]]
}